An optimized crystal structure of Ta2TlO6, computed with PBE-GGA.

a b c (Å): 7.5440 7.5440 7.5440
angles (deg): 120.08 119.97 89.96
Element x y z (fractional)
Ta: 0.0000 0.0000 0.0000
Ta: 0.5000 0.0000 0.0000
Ta: 0.5000 0.0000 0.5000
Ta: 0.5000 0.5000 0.5000
Tl: 0.0000 0.0000 0.5000
Tl: 0.0000 0.5000 0.0000
O: 0.1862 0.9362 0.2500
O: 0.1874 0.3115 0.2456
O: 0.1874 0.9419 0.8760
O: 0.4341 0.0581 0.7456
O: 0.4341 0.6885 0.3760
O: 0.4427 0.6927 0.7500
O: 0.5573 0.3073 0.2500
O: 0.5659 0.3115 0.6240
O: 0.5659 0.9419 0.2544
O: 0.8126 0.0581 0.1240
O: 0.8126 0.6885 0.7544
O: 0.8138 0.0638 0.7500

Formation enthalpy at 0 K = -2.74 eV per atom

=====

An optimized crystal structure of TaTlO12, computed with PBE-GGA.

a b c (Å): 7.6289 7.6289 7.6289
angles (deg): 60.00 60.00 60.00
Element x y z (fractional)
Ta: 0.1250 0.1250 0.1250
Ta: 0.8750 0.8750 0.8750
Tl: 0.3750 0.3750 0.3750
Tl: 0.6250 0.6250 0.6250
O: 0.1439 0.1439 0.3982
O: 0.1439 0.1439 0.8139
O: 0.1439 0.3982 0.1439
O: 0.1439 0.3982 0.8139
O: 0.1439 0.8139 0.1439
O: 0.1439 0.8139 0.3982
O: 0.1861 0.6018 0.8561
O: 0.1861 0.8561 0.6018
O: 0.1861 0.8561 0.8561
O: 0.3982 0.1439 0.1439
O: 0.3982 0.1439 0.8139
O: 0.3982 0.8139 0.1439
O: 0.6018 0.1861 0.8561
O: 0.6018 0.8561 0.1861
O: 0.6018 0.8561 0.8561
O: 0.8139 0.1439 0.1439
O: 0.8139 0.1439 0.3982
O: 0.8139 0.3982 0.1439
O: 0.8561 0.1861 0.6018
O: 0.8561 0.1861 0.8561
O: 0.8561 0.6018 0.1861
O: 0.8561 0.6018 0.8561
O: 0.8561 0.8561 0.1861
O: 0.8561 0.8561 0.6018

Formation enthalpy at 0 K = -0.26 eV per atom

=====

An optimized crystal structure of TaTlO3, computed with PBE-GGA.

a b c (Å): 7.6177 7.6177 7.6177
angles (deg): 60.00 60.00 60.00
Element x y z (fractional)
Ta: 0.0000 0.0000 0.0000
Ta: 0.0000 0.0000 0.5000
Ta: 0.0000 0.5000 0.0000
Ta: 0.5000 0.0000 0.0000
Tl: 0.0000 0.5000 0.5000
Tl: 0.5000 0.0000 0.5000
Tl: 0.5000 0.5000 0.0000
Tl: 0.5000 0.5000 0.5000
O: 0.0603 0.0603 0.6897
O: 0.0603 0.6897 0.0603
O: 0.0603 0.6897 0.6897
O: 0.3103 0.3103 0.9397
O: 0.3103 0.9397 0.3103
O: 0.3103 0.9397 0.9397
O: 0.6897 0.0603 0.0603
O: 0.6897 0.0603 0.6897
O: 0.6897 0.6897 0.0603
O: 0.9397 0.3103 0.3103
O: 0.9397 0.3103 0.9397
O: 0.9397 0.9397 0.3103

Formation enthalpy at 0 K = -2.69 eV per atom

=====

An optimized crystal structure of TaTlO3, computed with PBE-GGA.

a b c (Å): 4.0828 4.0828 4.0828
angles (deg): 90.00 90.00 90.00
Element x y z (fractional)
Ta: 0.0000 0.0000 0.0000
Tl: 0.5000 0.5000 0.5000
O: 0.0000 0.0000 0.5000
O: 0.0000 0.5000 0.0000
O: 0.5000 0.0000 0.0000

Formation enthalpy at 0 K = -2.58 eV per atom

=====

An optimized crystal structure of TaTlO3, computed with PBE-GGA.

a b c (Å): 7.6094 7.6094 13.1711
angles (deg): 106.95 106.95 60.11
Element x y z (fractional)
Ta: 0.0000 0.0000 0.0000
Ta: 0.0000 0.0000 0.5000
Ta: 0.0000 0.5000 0.5000
Ta: 0.2487 0.7513 0.7500
Ta: 0.5000 0.0000 0.0000
Ta: 0.5000 0.5000 0.0000
Ta: 0.5000 0.5000 0.5000
Ta: 0.7513 0.2487 0.2500
Tl: 0.0000 0.5000 0.0000
Tl: 0.2093 0.3137 0.2388
Tl: 0.2442 0.7558 0.2500
Tl: 0.3137 0.2093 0.7388
Tl: 0.5000 0.0000 0.5000
Tl: 0.6863 0.7907 0.2612
Tl: 0.7558 0.2442 0.7500
Tl: 0.7907 0.6863 0.7612
O: 0.0325 0.9037 0.8442
O: 0.0877 0.2210 0.5295
O: 0.0963 0.9675 0.6558
O: 0.0967 0.5924 0.6555
O: 0.2199 0.7204 0.0299
O: 0.2210 0.0877 0.0295
O: 0.2795 0.4084 0.4682
O: 0.2796 0.7801 0.4701
O: 0.4039 0.5375 0.8455
O: 0.4084 0.2795 0.9682
O: 0.4076 0.9033 0.8445
O: 0.4625 0.5961 0.6545
O: 0.5375 0.4039 0.3455
O: 0.5924 0.0967 0.1555
O: 0.5916 0.7205 0.0318
O: 0.5961 0.4625 0.1545
O: 0.7204 0.2199 0.5299
O: 0.7205 0.5916 0.5318
O: 0.7790 0.9123 0.9705
O: 0.7801 0.2796 0.9701
O: 0.9033 0.4076 0.3445
O: 0.9037 0.0325 0.3442
O: 0.9123 0.7790 0.4705
O: 0.9675 0.0963 0.1558

Formation enthalpy at 0 K = -2.69 eV per atom

=====

An optimized crystal structure of Tm3TaO7, computed with PBE-GGA.

a b c (Å): 6.4043 6.4043 7.4119
angles (deg): 90.00 90.00 109.13
Element x y z (fractional)
Tm: 0.0273 0.0273 0.0000
Tm: 0.0341 0.5011 0.2544
Tm: 0.4989 0.9659 0.2456
Tm: 0.5011 0.0341 0.7456
Tm: 0.9659 0.4989 0.7544
Tm: 0.9727 0.9727 0.5000
Ta: 0.4969 0.4969 0.5000
Ta: 0.5031 0.5031 0.0000
O: 0.1293 0.8707 0.7500
O: 0.1393 0.8607 0.2500
O: 0.1706 0.4171 0.9709
O: 0.1824 0.4395 0.5391
O: 0.4171 0.1706 0.0291
O: 0.4282 0.5718 0.2500
O: 0.4395 0.1824 0.4609
O: 0.5605 0.8176 0.9609
O: 0.5718 0.4282 0.7500
O: 0.5829 0.8294 0.5291
O: 0.8176 0.5605 0.0391
O: 0.8294 0.5829 0.4709
O: 0.8607 0.1393 0.7500
O: 0.8707 0.1293 0.2500

Maximum piezoelectric response = 0.333 C/m²
Energy relative to the lowest polymorph listed for this composition = 0 meV per atom
Formation enthalpy at 0 K = -3.90 eV per atom

=====

An optimized crystal structure of Tm3TaO7, computed with PBE-GGA.

a b c (Å): 6.3859 6.3859 7.4287
angles (deg): 90.00 90.00 69.80
Element x y z (fractional)
Tm: 0.0000 0.0000 0.0000
Tm: 0.0000 0.0000 0.5000
Tm: 0.0525 0.4860 0.7500
Tm: 0.4860 0.0525 0.2500
Tm: 0.5140 0.9475 0.7500
Tm: 0.9475 0.5140 0.2500
Ta: 0.5000 0.5000 0.0000
Ta: 0.5000 0.5000 0.5000
O: 0.1134 0.1530 0.2500
O: 0.1530 0.1134 0.7500
O: 0.1752 0.5636 0.0367
O: 0.1752 0.5636 0.4633
O: 0.4140 0.5860 0.7500
O: 0.4364 0.8248 0.0367
O: 0.4364 0.8248 0.4633
O: 0.5636 0.1752 0.5367
O: 0.5636 0.1752 0.9633
O: 0.5860 0.4140 0.2500
O: 0.8248 0.4364 0.5367
O: 0.8248 0.4364 0.9633
O: 0.8470 0.8866 0.2500
O: 0.8866 0.8470 0.7500

Energy relative to the lowest polymorph listed for this composition = 31 meV per atom
Formation enthalpy at 0 K = -3.86 eV per atom

=====

An optimized crystal structure of Tm3TaO7, computed with PBE-GGA.

a b c (Å): 7.3810 10.4580 7.4866
angles (deg): 90.00 90.00 90.00
Element x y z (fractional)
Tm: 0.0149 0.2500 0.2029
Tm: 0.2476 0.0198 0.5301
Tm: 0.2476 0.4802 0.5301
Tm: 0.2524 0.5198 0.0301
Tm: 0.2524 0.9802 0.0301
Tm: 0.4851 0.7500 0.7029
Tm: 0.5149 0.2500 0.2971
Tm: 0.7476 0.0198 0.9699
Tm: 0.7476 0.4802 0.9699
Tm: 0.7524 0.5198 0.4699
Tm: 0.7524 0.9802 0.4699
Tm: 0.9851 0.7500 0.7971
Ta: 0.0017 0.2500 0.7486
Ta: 0.4983 0.7500 0.2486
Ta: 0.5017 0.2500 0.7514
Ta: 0.9983 0.7500 0.2514
O: 0.0376 0.1237 0.9552
O: 0.0376 0.3763 0.9552
O: 0.0400 0.6106 0.4168
O: 0.0400 0.8894 0.4168
O: 0.2437 0.6158 0.7675
O: 0.2437 0.8842 0.7675
O: 0.2493 0.2500 0.6602
O: 0.2507 0.7500 0.1602
O: 0.2563 0.1158 0.2675
O: 0.2563 0.3842 0.2675
O: 0.4600 0.1106 0.9168
O: 0.4600 0.3894 0.9168
O: 0.4624 0.6237 0.4552
O: 0.4624 0.8763 0.4552
O: 0.5376 0.1237 0.5448
O: 0.5376 0.3763 0.5448
O: 0.5400 0.6106 0.0832
O: 0.5400 0.8894 0.0832
O: 0.7437 0.6158 0.7325
O: 0.7437 0.8842 0.7325
O: 0.7493 0.2500 0.8398
O: 0.7507 0.7500 0.3398
O: 0.7563 0.1158 0.2325
O: 0.7563 0.3842 0.2325
O: 0.9600 0.1106 0.5832
O: 0.9600 0.3894 0.5832
O: 0.9624 0.6237 0.0448
O: 0.9624 0.8763 0.0448

Energy relative to the lowest polymorph listed for this composition = 15 meV per atom
Formation enthalpy at 0 K = -3.88 eV per atom